Crystalline MnCoB2 at its relaxed geometry. Source: the Materials Project database, functional GGA-PBE.

Summary:
ΔE_f: -393 meV per atom
Total DFT energy (no corrections): -7.80 eV per atom
Calculated volume: 7.93 Å³ per atom

Cell: 2.968 4.001 5.344 Å, 90.00 90.00 90.00°
Element x y z (fractional)
1 B 0.500 0.878 0.464
2 B 0.000 0.358 0.036
3 B 0.500 0.122 0.964
4 B 0.000 0.642 0.536
5 Co 0.000 0.868 0.180
6 Co 0.000 0.132 0.680
7 Mn 0.500 0.622 0.820
8 Mn 0.500 0.378 0.320

=====

Crystalline Mg14NbSi at its relaxed geometry. Source: the Materials Project database, functional GGA-PBE.

Summary:
ΔE_f: 78 meV per atom
Total DFT energy (no corrections): -2.30 eV per atom
Calculated volume: 21.29 Å³ per atom

Cell: 6.243 6.243 10.090 Å, 90.00 90.00 120.00°
Element x y z (fractional)
1 Mg 0.170 0.835 0.625
2 Mg 0.847 0.173 0.874
3 Mg 0.667 0.833 0.125
4 Mg 0.327 0.653 0.376
5 Mg 0.327 0.653 0.874
6 Mg 0.665 0.330 0.625
7 Mg 0.327 0.173 0.874
8 Mg 0.165 0.833 0.125
9 Mg 0.667 0.335 0.125
10 Mg 0.327 0.173 0.376
11 Mg 0.833 0.667 0.380
12 Mg 0.847 0.173 0.376
13 Mg 0.833 0.667 0.870
14 Mg 0.665 0.835 0.625
15 Nb 0.167 0.333 0.625
16 Si 0.167 0.333 0.125

=====

Crystalline SiO2 at its relaxed geometry. Source: the Materials Project database, functional GGA-PBE.

Summary:
ΔE_f: -3113 meV per atom
Total DFT energy (no corrections): -7.76 eV per atom
Calculated volume: 12.64 Å³ per atom

Cell: 11.781 11.781 4.371 Å, 90.00 90.00 90.00°
Element x y z (fractional)
1 O 0.688 0.500 0.500
2 O 0.823 0.823 0.866
3 O 0.812 0.500 0.001
4 O 0.641 0.859 0.500
5 O 0.359 0.859 0.500
6 O 0.000 0.188 0.500
7 O 0.141 0.641 0.500
8 O 0.859 0.641 0.500
9 O 0.323 0.323 0.134
10 O 0.323 0.677 0.866
11 O 0.000 0.812 0.500
12 O 0.141 0.359 0.500
13 O 0.641 0.141 0.500
14 O 0.500 0.312 0.500
15 O 0.177 0.177 0.866
16 O 0.500 0.688 0.500
17 O 0.500 0.188 0.999
18 O 0.188 0.000 0.500
19 O 0.859 0.359 0.500
20 O 0.500 0.812 0.999
21 O 0.359 0.141 0.500
22 O 0.000 0.688 0.001
23 O 0.677 0.677 0.134
24 O 0.312 0.500 0.500
25 O 0.312 0.000 0.999
26 O 0.000 0.312 0.001
27 O 0.812 0.000 0.500
28 O 0.177 0.823 0.134
29 O 0.823 0.177 0.134
30 O 0.188 0.500 0.001
31 O 0.677 0.323 0.866
32 O 0.688 0.000 0.999
33 Si 0.918 0.262 0.277
34 Si 0.738 0.082 0.276
35 Si 0.762 0.582 0.277
36 Si 0.582 0.238 0.723
37 Si 0.082 0.262 0.724
38 Si 0.082 0.738 0.277
39 Si 0.418 0.238 0.276
40 Si 0.762 0.418 0.724
41 Si 0.418 0.762 0.723
42 Si 0.238 0.582 0.724
43 Si 0.262 0.918 0.276
44 Si 0.238 0.418 0.277
45 Si 0.582 0.762 0.276
46 Si 0.918 0.738 0.724
47 Si 0.262 0.082 0.723
48 Si 0.738 0.918 0.723

=====

Crystalline Na3SiSn2Ge2P5O24 at its relaxed geometry. Source: the Materials Project database, functional GGA-PBE.

Summary:
ΔE_f: -2510 meV per atom
Total DFT energy (no corrections): -6.73 eV per atom
Calculated volume: 12.88 Å³ per atom

Cell: 8.624 8.603 22.227 Å, 90.11 89.71 119.87°
Element x y z (fractional)
1 O 0.466 0.297 0.025
2 O 0.519 0.834 0.753
3 O 0.504 0.134 0.645
4 O 0.686 0.512 0.242
5 O 0.519 0.684 0.254
6 O 0.014 0.828 0.412
7 O 0.822 0.306 0.243
8 O 0.172 0.187 0.413
9 O 0.150 0.701 0.474
10 O 0.226 0.045 0.306
11 O 0.376 0.505 0.078
12 O 0.805 0.968 0.687
13 O 0.184 0.966 0.193
14 O 0.161 0.694 0.755
15 O 0.148 0.635 0.081
16 O 0.846 0.489 0.427
17 O 0.162 0.480 0.254
18 O 0.822 0.526 0.742
19 O 0.107 0.622 0.361
20 O 0.638 0.499 0.641
21 O 0.376 0.487 0.361
22 O 0.696 0.165 0.026
23 O 0.487 0.177 0.241
24 O 0.842 0.039 0.808
25 O 0.822 0.530 0.024
26 O 0.558 0.705 0.976
27 O 0.168 0.200 0.692
28 O 0.870 0.369 0.641
29 O 0.820 0.835 0.909
30 O 0.020 0.181 0.909
31 O 0.365 0.858 0.581
32 O 0.647 0.494 0.924
33 O 0.320 0.838 0.254
34 O 0.512 0.888 0.362
35 O 0.292 0.850 0.971
36 O 0.706 0.538 0.527
37 O 0.198 0.168 0.086
38 O 0.176 0.030 0.592
39 O 0.552 0.852 0.476
40 O 0.630 0.131 0.141
41 O 0.861 0.494 0.144
42 O 0.832 0.294 0.528
43 O 0.152 0.442 0.972
44 O 0.137 0.497 0.580
45 O 0.503 0.155 0.925
46 O 0.501 0.367 0.140
47 O 0.473 0.303 0.743
48 O 0.299 0.452 0.475
49 O 0.111 0.486 0.860
50 O 0.646 0.154 0.425
51 O 0.837 0.807 0.590
52 O 0.962 0.793 0.807
53 O 0.813 0.983 0.413
54 O 0.208 0.163 0.805
55 O 0.821 0.780 0.304
56 O 0.300 0.469 0.754
57 O 0.834 0.033 0.087
58 O 0.958 0.180 0.306
59 O 0.506 0.639 0.580
60 O 0.034 0.215 0.192
61 O 0.039 0.835 0.694
62 O 0.373 0.895 0.858
63 O 0.163 0.985 0.907
64 O 0.695 0.183 0.743
65 O 0.847 0.347 0.924
66 O 0.781 0.815 0.191
67 O 0.511 0.361 0.424
68 O 0.963 0.159 0.590
69 O 0.466 0.173 0.525
70 O 0.963 0.808 0.086
71 O 0.504 0.862 0.078
72 O 0.514 0.626 0.862
73 Na 0.667 0.333 0.333
74 Na 0.675 0.340 0.834
75 Na 0.370 0.001 0.748
76 Na 0.321 0.665 0.167
77 Na 0.010 0.001 0.501
78 Na 0.669 0.699 0.083
79 Na 0.327 0.655 0.667
80 Na 0.008 0.005 0.998
81 Na 0.666 0.967 0.586
82 Sn 0.001 0.000 0.351
83 Sn 0.328 0.665 0.521
84 Sn 0.006 0.002 0.146
85 Sn 0.337 0.665 0.814
86 Sn 0.332 0.666 0.316
87 Sn 0.325 0.666 0.018
88 P 0.303 0.008 0.248
89 P 0.030 0.658 0.419
90 P 0.666 0.056 0.083
91 P 0.673 0.615 0.585
92 P 0.949 0.332 0.584
93 P 0.387 0.331 0.083
94 P 0.990 0.711 0.749
95 P 0.033 0.366 0.916
96 P 0.705 0.699 0.248
97 P 0.333 0.971 0.916
98 P 0.993 0.293 0.249
99 P 0.628 0.968 0.419
100 P 0.340 0.373 0.418
101 P 0.634 0.666 0.918
102 P 0.284 0.283 0.749
103 Ge 0.995 0.001 0.852
104 Ge 0.670 0.331 0.687
105 Ge 0.670 0.337 0.981
106 Ge 0.671 0.334 0.186
107 Ge 0.660 0.331 0.482
108 Ge 0.004 0.999 0.647
109 Si 0.724 0.007 0.748
110 Si 0.949 0.610 0.084
111 Si 0.376 0.055 0.585

=====

Crystalline Li5AuO4 at its relaxed geometry. Source: the Materials Project database, functional GGA-PBE.

Summary:
ΔE_f: -1805 meV per atom
Total DFT energy (no corrections): -4.79 eV per atom
Calculated volume: 10.70 Å³ per atom
Energy above the lowest structure with this stoichiometry: 1 meV per atom

Cell: 10.303 10.055 4.780 Å, 79.34 73.54 27.13°
Element x y z (fractional)
1 Li 0.354 0.354 0.646
2 Li 0.896 0.896 0.604
3 Li 0.250 0.250 0.250
4 Li 0.391 0.391 0.109
5 Li 0.000 0.000 0.000
6 Li 0.141 0.141 0.859
7 Li 0.109 0.109 0.391
8 Li 0.604 0.604 0.896
9 Li 0.646 0.646 0.354
10 Li 0.859 0.859 0.141
11 Au 0.500 0.500 0.500
12 Au 0.750 0.750 0.750
13 O 0.320 0.827 0.671
14 O 0.068 0.579 0.423
15 O 0.182 0.671 0.827
16 O 0.930 0.423 0.579
17 O 0.671 0.182 0.320
18 O 0.579 0.068 0.930
19 O 0.423 0.930 0.068
20 O 0.827 0.320 0.182

=====

Crystalline YH3 at its relaxed geometry. Source: the Materials Project database, functional GGA-PBE.

Summary:
ΔE_f: -730 meV per atom
Total DFT energy (no corrections): -4.76 eV per atom
Calculated volume: 9.61 Å³ per atom

Cell: 6.348 6.348 6.609 Å, 90.00 90.00 120.00°
Element x y z (fractional)
1 H 0.305 0.000 0.091
2 H 0.333 0.667 0.206
3 H 0.000 0.305 0.091
4 H 0.358 0.358 0.908
5 H 0.000 0.358 0.408
6 H 0.642 0.000 0.908
7 H 0.305 0.305 0.591
8 H 0.695 0.000 0.591
9 H 0.000 0.000 0.818
10 H 0.667 0.333 0.706
11 H 0.695 0.695 0.091
12 H 0.000 0.642 0.908
13 H 0.667 0.333 0.206
14 H 0.642 0.642 0.408
15 H 0.333 0.667 0.706
16 H 0.000 0.695 0.591
17 H 0.000 0.000 0.318
18 H 0.358 0.000 0.408
19 Y 0.000 0.670 0.250
20 Y 0.330 0.330 0.250
21 Y 0.330 0.000 0.750
22 Y 0.000 0.330 0.750
23 Y 0.670 0.000 0.250
24 Y 0.670 0.670 0.750